A plane-wave DFT calculation with PBE+U was carried out for a relaxed Li3Ni3P4O16 crystal.

Results
**E_tot**: -162.0 eV per formula unit
**DFT formation energy**: -2182 meV/atom
**Energy above the lowest structure with this stoichiometry**: 0.0090 eV per atom
**M_tot**: 3.00 μB/f.u.

Cell lengths 7.962, 7.567, 9.914 Å; angles 87.62, 90.00, 90.00 degrees
Atoms (fractional coordinates):
Li (0.370, 0.669, 0.181)
Li (0.870, 0.331, 0.819)
Li (0.140, 0.165, 0.427)
Li (0.141, 0.167, 0.926)
Li (0.640, 0.835, 0.573)
Li (0.641, 0.833, 0.074)
Ni (0.355, 0.656, 0.690)
Ni (0.855, 0.344, 0.310)
Ni (0.512, 0.221, 0.875)
Ni (0.495, 0.243, 0.378)
Ni (0.995, 0.757, 0.622)
Ni (0.012, 0.779, 0.125)
P (0.806, 0.946, 0.359)
P (0.823, 0.938, 0.859)
P (0.323, 0.062, 0.141)
P (0.306, 0.054, 0.641)
P (0.681, 0.432, 0.100)
P (0.681, 0.430, 0.615)
P (0.181, 0.570, 0.385)
P (0.181, 0.568, 0.900)
O (0.879, 0.788, 0.966)
O (0.861, 0.796, 0.463)
O (0.818, 0.870, 0.215)
O (0.440, 0.907, 0.149)
O (0.812, 0.844, 0.720)
O (0.421, 0.890, 0.631)
O (0.151, 0.714, 0.778)
O (0.135, 0.727, 0.286)
O (0.180, 0.646, 0.532)
O (0.556, 0.587, 0.612)
O (0.195, 0.665, 0.032)
O (0.563, 0.585, 0.096)
O (0.859, 0.493, 0.647)
O (0.363, 0.512, 0.846)
O (0.863, 0.488, 0.154)
O (0.359, 0.507, 0.353)
O (0.056, 0.413, 0.388)
O (0.680, 0.354, 0.468)
O (0.063, 0.415, 0.904)
O (0.635, 0.273, 0.714)
O (0.695, 0.335, 0.968)
O (0.651, 0.286, 0.222)
O (0.361, 0.204, 0.537)
O (0.318, 0.130, 0.785)
O (0.379, 0.212, 0.034)
O (0.940, 0.093, 0.851)
O (0.312, 0.156, 0.280)
O (0.921, 0.110, 0.369)
O (0.624, 0.994, 0.395)
O (0.124, 0.006, 0.605)
O (0.639, 0.981, 0.898)
O (0.139, 0.019, 0.102)